(1)
Computed, not measured: a relaxed Na8La2Zn2Si3S3O24 crystal at the PBE level of DFT.

a b c (Å): 9.5845 9.5992 23.1150
angles (deg): 88.87 88.22 60.44
Closest atoms and distances in Å follow each position.
Space group P1 (No. 1)
One atom of each set of equivalent atoms:
Na: 0.0000 0.0000 0.0000  4 O 2.46-2.56
Na: 0.0017 0.3022 0.8535  5 O 2.58-2.75
Na: 0.0077 0.9401 0.3632  1 O 2.30
Na: 0.0330 0.6374 0.7605  4 O 2.44-2.69
Na: 0.0498 0.5815 0.2697  2 O 2.25-2.49
Na: 0.0778 0.8961 0.6812  4 O 2.51-2.75
Na: 0.0928 0.2603 0.1785  5 O 2.46-2.67
Na: 0.3247 0.3319 0.3452  2 O 2.32-2.55
Na: 0.3338 0.5975 0.8302  4 O 2.41-2.63
Na: 0.3359 0.6318 0.1815  6 O 2.58-2.83
Na: 0.3535 0.2659 0.6776  3 O 2.48-2.77
Na: 0.3656 0.9697 0.0932  4 O 2.43-2.69
Na: 0.3782 0.9220 0.6028  2 O 2.29-2.46
Na: 0.4093 0.2329 0.0193  4 O 2.47-2.64
Na: 0.4147 0.6000 0.5313  4 O 2.36-2.56
Na: 0.6687 0.6655 0.6677  4 O 2.40-2.58
Na: 0.6743 0.9274 0.1644  4 O 2.38-2.66
Na: 0.6823 0.9730 0.5284  2 O 2.35-2.44
Na: 0.6873 0.5978 0.0086  3 O 2.47-2.76
Na: 0.7159 0.2782 0.4448  3 O 2.24-2.45
Na: 0.7271 0.2488 0.9337  3 O 2.34-2.58
Na: 0.7632 0.9239 0.8440  4 O 2.39-2.65
Na: 0.7711 0.5615 0.3608  4 O 2.27-2.51
Na: 0.9918 0.2447 0.5111  3 O 2.41-2.50
La: 0.0198 0.6221 0.6095  4 O 2.19-2.39
La: 0.0272 0.6033 0.1032  5 O 2.20-2.46
La: 0.3534 0.9429 0.4431  6 O 2.21-2.47
La: 0.3538 0.9515 0.9408  6 O 2.24-2.46
La: 0.6982 0.2673 0.7704  5 O 2.20-2.46
La: 0.6998 0.2766 0.2733  6 O 2.27-2.44
Zn: 0.0016 0.6284 0.9195  2 O 1.94-2.07
Zn: 0.0051 0.6226 0.4372  2 O 1.90-1.93
Zn: 0.3604 0.0140 0.2505  3 O 1.88-2.06
Zn: 0.3617 0.9102 0.7384  3 O 2.01-2.09
Zn: 0.6803 0.2783 0.5846  3 O 2.00-2.22
Zn: 0.6977 0.2492 0.0710  3 O 2.00-2.10
Si: 0.0138 0.3117 0.0112  4 O 1.65-1.67
Si: 0.0169 0.9184 0.5075  4 O 1.63-1.68
Si: 0.0566 0.2573 0.3420  4 O 1.63-1.67
Si: 0.0642 0.9316 0.8446  4 O 1.65-1.67
Si: 0.3956 0.5775 0.6782  4 O 1.64-1.66
Si: 0.4013 0.2736 0.1761  4 O 1.64-1.68
Si: 0.6763 0.9761 0.6793  4 O 1.65-1.67
Si: 0.7231 0.9184 0.0120  4 O 1.64-1.66
Si: 0.7237 0.5977 0.5119  4 O 1.63-1.67
S: 0.0102 0.9709 0.1753  4 O 1.47-1.51
S: 0.0110 0.2631 0.6757  4 O 1.48-1.49
S: 0.3340 0.3154 0.5067  4 O 1.48-1.50
S: 0.3435 0.5978 0.0097  4 O 1.47-1.50
S: 0.3514 0.2603 0.8432  4 O 1.48-1.50
S: 0.3557 0.6454 0.3383  4 O 1.48-1.50
S: 0.6714 0.9309 0.3386  4 O 1.46-1.50
S: 0.6736 0.6399 0.8435  4 O 1.48-1.50
S: 0.6813 0.5944 0.1762  4 O 1.47-1.51
O: 0.0111 0.8174 0.4501  1 Si 1.68
O: 0.0287 0.8058 0.1730  1 S 1.51
O: 0.0430 0.4002 0.6706  1 S 1.49
O: 0.0492 0.3788 0.0709  1 Si 1.65
O: 0.0492 0.7652 0.8481  1 Si 1.67
O: 0.0497 0.4307 0.3452  1 Si 1.64
O: 0.0559 0.8056 0.5648  1 Si 1.63
O: 0.1366 0.9580 0.9046  1 Si 1.65
O: 0.1391 0.1420 0.3979  1 Si 1.63
O: 0.1606 0.1682 0.2819  1 Si 1.67
O: 0.1669 0.9566 0.5052  1 Si 1.65
O: 0.1677 0.1119 0.6784  1 S 1.49
O: 0.1686 0.1276 0.0063  1 Si 1.66
O: 0.1725 0.9551 0.1774  1 S 1.49
O: 0.1850 0.9122 0.7885  1 Si 1.66
O: 0.2001 0.4176 0.8465  1 S 1.49
O: 0.2044 0.6359 0.3421  1 S 1.50
O: 0.2145 0.5962 0.6777  1 Si 1.66
O: 0.2176 0.4311 0.1743  1 Si 1.66
O: 0.2398 0.3830 0.5608  1 S 1.48
O: 0.2442 0.4132 0.4556  1 S 1.50
O: 0.2511 0.5885 0.9616  1 S 1.47
O: 0.2518 0.6243 0.0658  1 S 1.50
O: 0.3465 0.1696 0.7932  1 S 1.48
O: 0.3536 0.7386 0.2861  1 S 1.48
O: 0.3644 0.1471 0.5029  1 S 1.50
O: 0.3725 0.1665 0.8978  1 S 1.50
O: 0.3745 0.7193 0.3910  1 S 1.48
O: 0.3736 0.7365 0.0044  1 S 1.50
O: 0.3792 0.7579 0.6762  1 Si 1.66
O: 0.3906 0.1036 0.1770  1 Si 1.68
O: 0.4737 0.4854 0.7392  1 Si 1.64
O: 0.4751 0.2919 0.2371  1 Si 1.65
O: 0.4914 0.3108 0.5080  1 S 1.49
O: 0.4924 0.2877 0.8410  1 S 1.50
O: 0.4955 0.4776 0.3375  1 S 1.50
O: 0.5013 0.4481 0.0122  1 S 1.49
O: 0.5060 0.9692 0.6851  1 Si 1.67
O: 0.5113 0.4797 0.6224  1 Si 1.64
O: 0.5191 0.2549 0.1201  1 Si 1.64
O: 0.5312 0.7519 0.1806  1 S 1.49
O: 0.5409 0.9390 0.0097  1 Si 1.66
O: 0.5434 0.7587 0.5069  1 Si 1.66
O: 0.5764 0.9494 0.3930  1 S 1.49
O: 0.5808 0.9236 0.2878  1 S 1.50
O: 0.5835 0.7108 0.8987  1 S 1.49
O: 0.5848 0.7404 0.7937  1 S 1.48
O: 0.6587 0.0934 0.6228  1 Si 1.66
O: 0.6763 0.5069 0.1256  1 S 1.47
O: 0.6914 0.0761 0.3357  1 S 1.50
O: 0.6961 0.4739 0.8409  1 S 1.50
O: 0.7025 0.4974 0.2301  1 S 1.50
O: 0.7079 0.0977 0.0108  1 Si 1.65
O: 0.7090 0.4340 0.5182  1 Si 1.65
O: 0.7125 0.0469 0.7378  1 Si 1.65
O: 0.7984 0.8220 0.0728  1 Si 1.65
O: 0.8053 0.6300 0.5672  1 Si 1.63
O: 0.8241 0.6206 0.1751  1 S 1.51
O: 0.8284 0.7861 0.3393  1 S 1.46
O: 0.8299 0.7916 0.6758  1 Si 1.65
O: 0.8355 0.6282 0.8442  1 S 1.50
O: 0.8394 0.5715 0.4531  1 Si 1.67
O: 0.8405 0.8248 0.9562  1 Si 1.64
O: 0.8443 0.3031 0.0166  1 Si 1.67
O: 0.8472 0.0883 0.5115  1 Si 1.64
O: 0.8715 0.2812 0.3405  1 Si 1.67
O: 0.8830 0.0952 0.8420  1 Si 1.67
O: 0.9164 0.0427 0.2302  1 S 1.50
O: 0.9185 0.2908 0.7315  1 S 1.49
O: 0.9193 0.2551 0.6270  1 S 1.48
O: 0.9232 0.0719 0.1256  1 S 1.47
O: 0.9960 0.4326 0.9558  1 Si 1.67

The volume is 1849 Å³/cell. For the size of the total moment, the calculation gives 0.00 μB/cell. The total energy comes out at -6.15 eV/atom.

---

(2)
Computed, not measured: a relaxed CsZn4P3 crystal at the PBE level of DFT.

a b c (Å): 4.1012 4.1012 10.4097
angles (deg): 90.00 90.00 90.00
Closest atoms and distances in Å follow each position.
Space group P4/mmm (No. 123)
One atom of each set of equivalent atoms:
Cs: 0.0000 0.0000 0.0000  8 P 3.72, 4 Cs 4.10, 8 Zn 4.15
Zn: 0.0000 0.5000 0.3470  4 P 2.42-2.60
P: 0.0000 0.0000 0.5000  8 Zn 2.60
P: 0.5000 0.5000 0.2235  4 Zn 2.42

The volume is 175 Å³/cell. The total energy comes out at -3.08 eV/atom.

---

(3)
Computed, not measured: a relaxed U2SiO10 crystal at the PBE level of DFT.

a b c (Å): 8.6659 11.2619 18.2369
angles (deg): 90.00 90.00 90.00
Closest atoms and distances in Å follow each position.
Space group Fddd (No. 70, origin choice 2)
One atom of each set of equivalent atoms:
U: 0.1250 0.1250 0.3008  3 O 1.83-1.91
Si: 0.1250 0.1250 0.1250  4 O 1.64
O: 0.0259 0.0452 0.0661  1 Si 1.64
O: 0.0446 0.2792 0.5425  1 U 1.83
O: 0.1250 0.1250 0.4058  1 U 1.91

The volume is 1780 Å³/cell. For the size of the total moment, the calculation gives 31.98 μB/cell. The total energy comes out at -8.06 eV/atom.